Record 1
This record from the Materials Project describes a relaxed Nd3GaNiSe7 crystal. The functional is GGA-PBE.

calculated formation energy = -153.7 kJ per mole of atoms

a = 10.279 Å, b = 10.279 Å, c = 6.514 Å
α = 90.00°, β = 90.00°, γ = 120.00°
Element x y z (fractional)
Nd (0.157, 0.373, 0.000)
Nd (0.216, 0.843, 0.000)
Nd (0.373, 0.216, 0.500)
Nd (0.627, 0.784, 0.000)
Nd (0.784, 0.157, 0.500)
Nd (0.843, 0.627, 0.500)
Ga (0.333, 0.667, 0.578)
Ga (0.667, 0.333, 0.078)
Ni (0.000, 0.000, 0.192)
Ni (0.000, 0.000, 0.692)
Se (0.084, 0.564, 0.727)
Se (0.098, 0.230, 0.425)
Se (0.132, 0.902, 0.425)
Se (0.230, 0.132, 0.925)
Se (0.333, 0.667, 0.210)
Se (0.436, 0.520, 0.727)
Se (0.480, 0.916, 0.727)
Se (0.520, 0.084, 0.227)
Se (0.564, 0.480, 0.227)
Se (0.667, 0.333, 0.710)
Se (0.770, 0.868, 0.425)
Se (0.868, 0.098, 0.925)
Se (0.902, 0.770, 0.925)
Se (0.916, 0.436, 0.227)

Record 2
This record from the Materials Project describes a relaxed TiNb2ZnPb4O12 crystal. The functional is GGA-PBE.

energy relative to the lowest polymorph listed for this composition = 0 meV/atom
calculated formation energy = -227.5 kJ per mole of atoms

a = 4.018 Å, b = 4.121 Å, c = 16.772 Å
α = 89.54°, β = 89.78°, γ = 89.73°
Element x y z (fractional)
Ti (0.000, 0.000, 0.000)
Nb (0.969, 0.999, 0.248)
Nb (0.988, 0.929, 0.752)
Zn (0.979, 0.950, 0.497)
Pb (0.437, 0.390, 0.600)
Pb (0.470, 0.551, 0.118)
Pb (0.487, 0.484, 0.403)
Pb (0.524, 0.522, 0.887)
O (0.001, 0.977, 0.639)
O (0.476, 0.947, 0.235)
O (0.483, 0.932, 0.000)
O (0.483, 0.967, 0.498)
O (0.488, 0.960, 0.763)
O (0.977, 0.456, 0.239)
O (0.977, 0.938, 0.883)
O (0.977, 0.950, 0.359)
O (0.982, 0.927, 0.117)
O (0.985, 0.439, 0.999)
O (0.985, 0.464, 0.760)
O (0.999, 0.455, 0.498)

Record 3
This record from the Materials Project describes a relaxed Mg2Ge2O5 crystal. The functional is GGA-PBE.

calculated formation energy = -184.1 kJ per mole of atoms

a = 3.882 Å, b = 3.882 Å, c = 6.290 Å
α = 90.00°, β = 90.00°, γ = 90.00°
Element x y z (fractional)
Mg (0.000, 0.000, 0.000)
Mg (0.000, 0.000, 0.500)
Ge (0.500, 0.500, 0.205)
Ge (0.500, 0.500, 0.795)
O (0.000, 0.500, 0.222)
O (0.000, 0.500, 0.778)
O (0.500, 0.000, 0.222)
O (0.500, 0.000, 0.778)
O (0.500, 0.500, 0.500)

Record 4
This record from the Materials Project describes a relaxed Na4YInSiP2O12 crystal. The functional is GGA-PBE.

calculated formation energy = -268.8 kJ per mole of atoms

a = 9.352 Å, b = 9.357 Å, c = 23.084 Å
α = 89.85°, β = 89.82°, γ = 60.07°
Element x y z (fractional)
Na (0.000, 0.000, 0.000)
Na (0.000, 0.253, 0.500)
Na (0.034, 0.932, 0.342)
Na (0.038, 0.287, 0.841)
Na (0.298, 0.291, 0.337)
Na (0.299, 0.662, 0.837)
Na (0.325, 0.963, 0.421)
Na (0.326, 0.965, 0.919)
Na (0.341, 0.594, 0.168)
Na (0.345, 0.316, 0.670)
Na (0.362, 0.629, 0.501)
Na (0.364, 0.261, 0.001)
Na (0.644, 0.617, 0.007)
Na (0.645, 0.991, 0.507)
Na (0.674, 0.299, 0.086)
Na (0.675, 0.279, 0.587)
Na (0.675, 0.924, 0.833)
Na (0.677, 0.649, 0.333)
Na (0.700, 0.597, 0.674)
Na (0.703, 0.949, 0.171)
Na (0.961, 0.962, 0.672)
Na (0.965, 0.333, 0.169)
Na (0.997, 0.619, 0.252)
Na (0.997, 0.634, 0.755)
Y (0.003, 0.626, 0.406)
Y (0.336, 0.958, 0.070)
Y (0.337, 0.959, 0.573)
Y (0.338, 0.956, 0.269)
Y (0.674, 0.294, 0.238)
Y (0.999, 0.632, 0.603)
In (0.003, 0.625, 0.904)
In (0.336, 0.957, 0.770)
In (0.674, 0.282, 0.740)
In (0.677, 0.286, 0.435)
In (0.678, 0.288, 0.935)
In (0.999, 0.622, 0.100)
Si (0.000, 0.330, 0.001)
Si (0.000, 0.933, 0.502)
Si (0.634, 0.962, 0.673)
Si (0.643, 0.656, 0.169)
Si (0.972, 0.989, 0.837)
Si (0.973, 0.290, 0.338)
P (0.036, 0.257, 0.673)
P (0.036, 0.951, 0.169)
P (0.300, 0.620, 0.002)
P (0.309, 0.324, 0.503)
P (0.334, 0.262, 0.169)
P (0.342, 0.654, 0.673)
P (0.374, 0.292, 0.838)
P (0.374, 0.586, 0.339)
P (0.668, 0.995, 0.338)
P (0.669, 0.587, 0.837)
P (0.701, 0.621, 0.503)
P (0.710, 0.923, 0.002)
O (0.022, 0.428, 0.667)
O (0.027, 0.790, 0.163)
O (0.032, 0.818, 0.445)
O (0.034, 0.412, 0.944)
O (0.113, 0.150, 0.618)
O (0.116, 0.983, 0.115)
O (0.142, 0.926, 0.224)
O (0.145, 0.175, 0.727)
O (0.156, 0.123, 0.335)
O (0.158, 0.972, 0.832)
O (0.165, 0.144, 0.004)
O (0.166, 0.952, 0.507)
O (0.180, 0.438, 0.165)
O (0.189, 0.631, 0.668)
O (0.191, 0.652, 0.948)
O (0.199, 0.404, 0.449)
O (0.199, 0.448, 0.842)
O (0.200, 0.606, 0.342)
O (0.220, 0.595, 0.058)
O (0.226, 0.430, 0.558)
O (0.306, 0.182, 0.224)
O (0.308, 0.766, 0.727)
O (0.321, 0.774, 0.007)
O (0.329, 0.149, 0.508)
O (0.358, 0.154, 0.115)
O (0.359, 0.134, 0.833)
O (0.359, 0.759, 0.334)
O (0.368, 0.733, 0.618)
O (0.451, 0.324, 0.783)
O (0.453, 0.481, 0.284)
O (0.472, 0.460, 0.997)
O (0.480, 0.312, 0.497)
O (0.480, 0.504, 0.393)
O (0.483, 0.265, 0.892)
O (0.492, 0.276, 0.174)
O (0.502, 0.483, 0.679)
O (0.513, 0.762, 0.832)
O (0.513, 0.975, 0.334)
O (0.525, 0.991, 0.615)
O (0.527, 0.742, 0.112)
O (0.529, 0.778, 0.509)
O (0.536, 0.939, 0.008)
O (0.548, 0.928, 0.730)
O (0.560, 0.767, 0.227)
O (0.636, 0.510, 0.891)
O (0.638, 0.103, 0.392)
O (0.649, 0.131, 0.676)
O (0.660, 0.472, 0.171)
O (0.679, 0.467, 0.499)
O (0.687, 0.099, 0.997)
O (0.692, 0.075, 0.283)
O (0.696, 0.479, 0.782)
O (0.782, 0.647, 0.449)
O (0.788, 0.814, 0.948)
O (0.811, 0.592, 0.557)
O (0.818, 0.847, 0.057)
O (0.819, 0.794, 0.670)
O (0.825, 0.822, 0.342)
O (0.827, 0.603, 0.841)
O (0.827, 0.643, 0.166)
O (0.828, 0.114, 0.501)
O (0.829, 0.316, 0.999)
O (0.857, 0.067, 0.780)
O (0.860, 0.103, 0.174)
O (0.860, 0.278, 0.678)
O (0.862, 0.318, 0.280)
O (0.888, 0.260, 0.396)
O (0.894, 0.105, 0.895)
O (0.968, 0.440, 0.060)
O (0.973, 0.846, 0.560)
O (0.990, 0.803, 0.842)
O (0.991, 0.457, 0.340)

> What is the calculated formation energy in the first record?

-153.7 kJ per mole of atoms

> What is the calculated formation energy in the fourth record?

-268.8 kJ per mole of atoms